No. 1
Na4NiMo6H38O40 | PBE+U | relaxed

POSCAR file:
```
Na4NiMo6H38O40
1.0
7.974 0.000 0.000
1.140 10.510 0.000
3.915 3.900 11.175
Na Ni Mo H O
4 1 6 38 40
Direct
0.095 0.360 0.200 Na
0.277 0.360 0.419 Na
0.723 0.640 0.581 Na
0.905 0.640 0.800 Na
0.500 0.000 0.000 Ni
0.202 0.770 0.047 Mo
0.356 0.763 0.271 Mo
0.365 0.998 0.769 Mo
0.635 0.002 0.231 Mo
0.644 0.237 0.729 Mo
0.798 0.230 0.953 Mo
0.005 0.067 0.273 H
0.057 0.287 0.685 H
0.077 0.507 0.621 H
0.089 0.661 0.545 H
0.102 0.102 0.355 H
0.144 0.295 0.983 H
0.148 0.090 0.557 H
0.172 0.059 0.973 H
0.200 0.445 0.951 H
0.252 0.680 0.840 H
0.256 0.302 0.669 H
0.288 0.041 0.205 H
0.302 0.086 0.443 H
0.305 0.565 0.782 H
0.339 0.718 0.638 H
0.396 0.770 0.500 H
0.416 0.439 0.150 H
0.434 0.264 0.955 H
0.474 0.287 0.182 H
0.526 0.713 0.818 H
0.566 0.736 0.045 H
0.584 0.561 0.850 H
0.604 0.230 0.500 H
0.661 0.282 0.362 H
0.695 0.435 0.218 H
0.698 0.914 0.557 H
0.712 0.959 0.795 H
0.744 0.698 0.331 H
0.748 0.320 0.160 H
0.800 0.555 0.049 H
0.828 0.941 0.027 H
0.852 0.910 0.443 H
0.856 0.705 0.017 H
0.898 0.898 0.645 H
0.911 0.339 0.455 H
0.923 0.493 0.379 H
0.943 0.713 0.315 H
0.995 0.933 0.727 H
0.013 0.191 0.968 O
0.014 0.594 0.615 O
0.101 0.121 0.272 O
0.155 0.788 0.203 O
0.159 0.019 0.741 O
0.162 0.343 0.632 O
0.185 0.126 0.470 O
0.203 0.611 0.820 O
0.219 0.595 0.081 O
0.220 0.352 0.998 O
0.226 0.784 0.407 O
0.268 0.992 0.960 O
0.343 0.805 0.874 O
0.391 0.352 0.214 O
0.392 0.590 0.304 O
0.393 0.988 0.176 O
0.408 0.190 0.734 O
0.440 0.720 0.568 O
0.465 0.793 0.071 O
0.490 0.033 0.357 O
0.510 0.967 0.643 O
0.535 0.207 0.929 O
0.560 0.280 0.432 O
0.592 0.810 0.266 O
0.607 0.012 0.824 O
0.608 0.410 0.696 O
0.609 0.648 0.786 O
0.657 0.195 0.126 O
0.732 0.008 0.040 O
0.774 0.216 0.593 O
0.780 0.648 0.002 O
0.781 0.405 0.919 O
0.797 0.389 0.180 O
0.815 0.874 0.530 O
0.838 0.657 0.368 O
0.841 0.981 0.259 O
0.845 0.212 0.797 O
0.899 0.879 0.728 O
0.986 0.406 0.385 O
0.987 0.809 0.032 O
```

## Properties
ΔH_f (0 K): -1.5210 eV per atom
VASP energy: -489.12 eV for the cell shown
total magnetization: 2.0 μB per formula unit



No. 2
Rb2MgFe4O7 | PBE+U | relaxed

POSCAR file:
```
Rb2MgFe4O7
1.0
5.522 0.000 0.000
-2.128 5.099 0.000
-0.026 -1.162 7.380
Rb Mg Fe O
2 1 4 7
Direct
0.000 0.000 0.000 Rb
0.360 0.648 0.058 Rb
0.617 0.248 0.771 Mg
0.022 0.590 0.610 Fe
0.087 0.074 0.481 Fe
0.571 0.749 0.516 Fe
0.668 0.324 0.279 Fe
0.330 0.949 0.627 O
0.345 0.354 0.369 O
0.596 0.238 0.029 O
0.695 0.611 0.717 O
0.736 0.034 0.347 O
0.940 0.677 0.358 O
0.984 0.256 0.697 O
```

## Properties
ΔH_f (0 K): -1.6773 eV per atom
VASP energy: -81.73 eV for the cell shown
total magnetization: 18.0 μB per formula unit



No. 3
MgTiMnO4 | PBE+U | relaxed

POSCAR file:
```
MgTiMnO4
1.0
5.528 -1.751 0.000
5.528 1.751 0.000
-1.699 0.000 4.735
Mg Ti Mn O
1 1 1 4
Direct
0.000 0.000 0.000 Mg
0.642 0.642 0.515 Ti
0.365 0.365 0.465 Mn
0.160 0.160 0.363 O
0.473 0.473 0.210 O
0.578 0.578 0.796 O
0.834 0.834 0.665 O
```

## Properties
ΔH_f (0 K): -2.8913 eV per atom
VASP energy: -54.27 eV for the cell shown
total magnetization: 5.0 μB per formula unit



No. 4
Li7Mn16O32 | PBE+U | relaxed

POSCAR file:
```
Li7Mn16O32
1.0
8.390 0.000 0.000
-0.009 8.547 0.000
-4.162 -4.226 8.267
Li Mn O
7 16 32
Direct
0.000 0.000 0.000 Li
0.113 0.613 0.753 Li
0.243 0.743 0.497 Li
0.362 0.366 0.248 Li
0.616 0.114 0.753 Li
0.747 0.247 0.498 Li
0.866 0.860 0.246 Li
0.054 0.301 0.874 Mn
0.062 0.310 0.379 Mn
0.183 0.676 0.125 Mn
0.185 0.184 0.630 Mn
0.299 0.055 0.876 Mn
0.308 0.057 0.380 Mn
0.421 0.936 0.125 Mn
0.433 0.437 0.627 Mn
0.552 0.798 0.367 Mn
0.557 0.808 0.875 Mn
0.679 0.181 0.124 Mn
0.681 0.677 0.620 Mn
0.804 0.551 0.368 Mn
0.807 0.556 0.874 Mn
0.927 0.927 0.618 Mn
0.934 0.423 0.123 Mn
0.027 0.553 0.358 O
0.048 0.535 0.887 O
0.056 0.062 0.854 O
0.083 0.066 0.398 O
0.154 0.415 0.105 O
0.178 0.958 0.639 O
0.196 0.410 0.621 O
0.204 0.940 0.146 O
0.282 0.278 0.864 O
0.302 0.836 0.891 O
0.304 0.320 0.398 O
0.323 0.793 0.360 O
0.414 0.154 0.108 O
0.416 0.199 0.620 O
0.423 0.713 0.136 O
0.451 0.669 0.633 O
0.533 0.043 0.882 O
0.540 0.029 0.364 O
0.571 0.573 0.861 O
0.573 0.572 0.378 O
0.652 0.945 0.115 O
0.667 0.453 0.629 O
0.681 0.898 0.604 O
0.707 0.415 0.135 O
0.795 0.791 0.382 O
0.798 0.794 0.846 O
0.816 0.322 0.364 O
0.832 0.305 0.888 O
0.900 0.666 0.601 O
0.938 0.648 0.112 O
0.945 0.209 0.145 O
0.960 0.190 0.639 O
```

## Properties
ΔH_f (0 K): -2.0268 eV per atom
VASP energy: -381.09 eV for the cell shown
total magnetization: 55.0 μB per formula unit